1.
# ScMn6Ge6

A geometry-optimized ScMn6Ge6 structure (PBE, the Materials Project).

```
13
Lattice="-0.7110 -3.4210 3.7581 1.1000 -1.5985 -4.7504 7.9005 0.2685 1.7391" Properties=species:S:1:pos:R:3 pbc="T T T"
Sc 3.9502 0.1342 0.8696
Mn 2.1745 -2.4425 -0.0603
Mn 2.5300 -0.7320 -1.9393
Mn 5.5650 -1.5093 3.1823
Mn 6.1150 -2.3085 0.8071
Mn 6.4705 -0.5981 -1.0719
Mn 1.6245 -1.6432 2.3149
Ge 6.6251 0.2252 1.4584
Ge 4.4466 -2.0718 -1.0447
Ge 3.8429 -2.6792 1.7915
Ge 0.4963 -2.2060 -1.9142
Ge -0.1073 -2.8135 0.9219
Ge 1.2754 0.0433 0.2807
```

=====

2.
# TeMoWSeS2

A geometry-optimized TeMoWSeS2 structure (PBE, the Materials Project).

ΔE to the lowest computed polymorph	39	meV per atom
size of the total moment	0.0	μB per cell

```
12
Lattice="1.6542 -2.8652 0.0000 1.6542 2.8652 0.0000 0.0000 0.0000 37.7381" Properties=species:S:1:pos:R:3 pbc="T T T"
Te 1.6542 0.9551 15.8017
Te 1.6542 0.9551 19.6453
Mo 0.0000 0.0000 3.5448
Mo 1.6542 0.9551 24.8156
W 0.0000 0.0000 17.7232
W 1.6542 0.9551 10.6337
Se 0.0000 0.0000 26.4882
Se 0.0000 0.0000 23.1415
S 0.0000 0.0000 12.1668
S 1.6542 0.9551 2.0141
S 1.6542 0.9551 5.0754
S 0.0000 0.0000 9.1014
```

=====

3.
# Sm2Ge6Au

A geometry-optimized Sm2Ge6Au structure (PBE, the Materials Project).

size of the total moment	0.0	μB per cell

```
9
Lattice="-3.2645 -2.6105 -0.1048 -2.0181 2.4135 2.7454 -2.7830 7.1636 -8.3433" Properties=species:S:1:pos:R:3 pbc="T T T"
Sm -5.0995 3.1631 -3.3540
Sm -2.0586 2.5993 -0.6230
Ge -5.3436 6.9581 -6.8696
Ge -4.3487 5.6380 -4.9778
Ge -5.9721 4.4531 -8.3048
Ge -4.9740 3.1287 -6.4068
Ge -3.1525 0.7118 -2.9431
Ge -2.1046 2.7925 -4.0020
Au -2.1648 -0.5986 -1.0651
```

=====

no.,energy of formation from the pure elements (eV per atom)
1,-0.322
2,-0.722
3,-0.406